i:
CsP2H5O8: optimized geometry, PBE-GGA. Values from VASP.

Structure (Quantum ESPRESSO input):
```
&SYSTEM
  ibrav = 0, nat = 64, ntyp = 4
/
ATOMIC_SPECIES
Cs 132.91 Cs.upf
P 30.97 P.upf
H 1.01 H.upf
O 16.00 O.upf
CELL_PARAMETERS angstrom
7.799 0.000 0.000
0.000 9.664 0.000
0.000 2.519 11.478
ATOMIC_POSITIONS crystal
Cs 0.660 0.469 0.253
Cs 0.160 0.031 0.747
Cs 0.340 0.531 0.747
Cs 0.840 0.969 0.253
P 0.181 0.332 0.423
P 0.681 0.168 0.577
P 0.819 0.668 0.577
P 0.319 0.832 0.423
P 0.190 0.292 0.076
P 0.690 0.208 0.924
P 0.810 0.708 0.924
P 0.310 0.792 0.076
H 0.275 0.556 0.405
H 0.775 0.944 0.595
H 0.725 0.444 0.595
H 0.225 0.056 0.405
H 0.975 0.315 0.557
H 0.475 0.185 0.443
H 0.025 0.685 0.443
H 0.525 0.815 0.557
H 0.041 0.307 0.249
H 0.541 0.193 0.751
H 0.959 0.693 0.751
H 0.459 0.807 0.249
H 0.268 0.511 0.093
H 0.768 0.989 0.907
H 0.732 0.489 0.907
H 0.232 0.011 0.093
H 0.985 0.343 0.939
H 0.485 0.157 0.061
H 0.015 0.657 0.061
H 0.515 0.843 0.939
O 0.286 0.199 0.419
O 0.786 0.301 0.581
O 0.714 0.801 0.581
O 0.214 0.699 0.419
O 0.029 0.353 0.337
O 0.529 0.147 0.663
O 0.971 0.647 0.663
O 0.471 0.853 0.337
O 0.315 0.457 0.398
O 0.815 0.043 0.602
O 0.685 0.543 0.602
O 0.185 0.957 0.398
O 0.107 0.327 0.549
O 0.607 0.173 0.451
O 0.893 0.673 0.451
O 0.393 0.827 0.549
O 0.300 0.160 0.080
O 0.800 0.340 0.920
O 0.700 0.840 0.920
O 0.200 0.660 0.080
O 0.037 0.263 0.161
O 0.537 0.237 0.839
O 0.963 0.737 0.839
O 0.463 0.763 0.161
O 0.315 0.409 0.103
O 0.815 0.091 0.897
O 0.685 0.591 0.897
O 0.185 0.909 0.103
O 0.118 0.350 0.949
O 0.618 0.150 0.051
O 0.882 0.650 0.051
O 0.382 0.850 0.949
```

Results
calculated density	2.517	g/cm³

=====

ii:
CsP2H5O8: optimized geometry, PBE-GGA. Values from VASP.

Structure (Quantum ESPRESSO input):
```
&SYSTEM
  ibrav = 0, nat = 32, ntyp = 4
/
ATOMIC_SPECIES
Cs 132.91 Cs.upf
P 30.97 P.upf
H 1.01 H.upf
O 16.00 O.upf
CELL_PARAMETERS angstrom
3.585 0.362 -5.992
-2.843 7.279 -1.751
4.947 1.316 6.386
ATOMIC_POSITIONS crystal
Cs 0.896 0.704 0.666
Cs 0.104 0.296 0.334
P 0.616 0.174 0.796
P 0.384 0.826 0.204
P 0.205 0.243 0.832
P 0.795 0.757 0.168
H 0.720 0.451 0.967
H 0.280 0.549 0.033
H 0.815 0.229 0.654
H 0.185 0.771 0.346
H 0.245 0.037 0.982
H 0.755 0.963 0.018
H 0.583 0.372 0.207
H 0.417 0.628 0.793
H 0.589 0.319 0.377
H 0.411 0.681 0.623
O 0.736 0.316 0.963
O 0.264 0.684 0.037
O 0.652 0.000 0.838
O 0.348 0.000 0.162
O 0.662 0.191 0.627
O 0.338 0.809 0.373
O 0.377 0.215 0.734
O 0.623 0.785 0.266
O 0.295 0.370 0.012
O 0.705 0.630 0.988
O 0.020 0.295 0.692
O 0.980 0.705 0.308
O 0.163 0.062 0.857
O 0.837 0.938 0.143
O 0.660 0.393 0.336
O 0.340 0.607 0.664
```

Results
calculated density	2.615	g/cm³

=====

Energy ordering: i at the bottom, the next structure 32 meV/atom above.

=====

i:
F: optimized geometry, PBE-GGA. Values from VASP.

Structure (Quantum ESPRESSO input):
```
&SYSTEM
  ibrav = 0, nat = 8, ntyp = 1
/
ATOMIC_SPECIES
F 19.00 F.upf
CELL_PARAMETERS angstrom
-2.652 -3.253 1.515
2.333 -2.994 -2.346
2.727 -0.602 3.480
ATOMIC_POSITIONS crystal
F 0.000 0.000 0.000
F 0.500 0.500 0.500
F 0.250 0.500 0.000
F 0.750 0.500 0.000
F 0.500 0.000 0.250
F 0.500 0.000 0.750
F 0.000 0.750 0.500
F 0.000 0.250 0.500
```

Results
calculated density	2.841	g/cm³

=====

ii:
F: optimized geometry, PBE-GGA. Values from VASP.

Structure (Quantum ESPRESSO input):
```
&SYSTEM
  ibrav = 0, nat = 4, ntyp = 1
/
ATOMIC_SPECIES
F 19.00 F.upf
CELL_PARAMETERS angstrom
1.629 2.635 0.000
-1.629 2.635 0.000
0.000 0.929 5.450
ATOMIC_POSITIONS crystal
F 0.234 0.281 0.707
F 0.719 0.766 0.793
F 0.766 0.719 0.293
F 0.281 0.234 0.207
```

Results
calculated density	2.697	g/cm³

=====

Energy ordering: ii at the bottom, the next structure 484 meV/atom above.

=====

i:
MgZn2Bi3O8: optimized geometry, PBE-GGA. Values from VASP.

Structure (Quantum ESPRESSO input):
```
&SYSTEM
  ibrav = 0, nat = 14, ntyp = 4
/
ATOMIC_SPECIES
Mg 24.30 Mg.upf
Zn 65.41 Zn.upf
Bi 208.98 Bi.upf
O 16.00 O.upf
CELL_PARAMETERS angstrom
-4.960 3.115 -3.445
-4.099 -7.137 1.576
3.816 1.891 5.072
ATOMIC_POSITIONS crystal
Mg 0.000 0.500 0.500
Zn 0.641 0.757 0.303
Zn 0.359 0.243 0.697
Bi 0.500 0.000 0.000
Bi 0.900 0.686 0.966
Bi 0.100 0.314 0.034
O 0.179 0.546 0.967
O 0.821 0.454 0.033
O 0.000 0.767 0.679
O 0.000 0.233 0.321
O 0.495 0.292 0.115
O 0.717 0.046 0.486
O 0.283 0.954 0.514
O 0.505 0.708 0.885
```

Results
calculated density	7.173	g/cm³

=====

ii:
MgZn2Bi3O8: optimized geometry, PBE-GGA. Values from VASP.

Structure (Quantum ESPRESSO input):
```
&SYSTEM
  ibrav = 0, nat = 14, ntyp = 4
/
ATOMIC_SPECIES
Mg 24.30 Mg.upf
Zn 65.41 Zn.upf
Bi 208.98 Bi.upf
O 16.00 O.upf
CELL_PARAMETERS angstrom
-4.994 1.277 -3.007
2.601 -3.089 -5.636
0.532 -4.417 6.940
ATOMIC_POSITIONS crystal
Mg 0.499 0.485 0.000
Zn 0.702 0.715 0.442
Zn 0.299 0.272 0.559
Bi 0.500 0.974 0.000
Bi 0.999 0.720 0.999
Bi 0.001 0.258 0.001
O 0.011 0.389 0.804
O 0.989 0.586 0.196
O 0.983 0.890 0.771
O 0.017 0.119 0.229
O 0.505 0.388 0.211
O 0.518 0.809 0.204
O 0.496 0.177 0.790
O 0.481 0.605 0.796
```

Results
calculated density	6.454	g/cm³

=====

Energy ordering: i at the bottom, the next structure 177 meV/atom above.

=====

i:
OsN2: optimized geometry, PBE-GGA. Values from VASP.

Structure (Quantum ESPRESSO input):
```
&SYSTEM
  ibrav = 0, nat = 6, ntyp = 2
/
ATOMIC_SPECIES
Os 190.23 Os.upf
N 14.01 N.upf
CELL_PARAMETERS angstrom
4.426 0.000 0.000
0.000 4.426 0.000
0.000 0.000 2.669
ATOMIC_POSITIONS crystal
Os 0.500 0.500 0.000
Os 0.000 0.000 0.000
N 0.888 0.388 0.500
N 0.112 0.612 0.500
N 0.388 0.112 0.500
N 0.612 0.888 0.500
```

Results
calculated density	13.860	g/cm³

=====

ii:
OsN2: optimized geometry, PBE-GGA. Values from VASP.

Structure (Quantum ESPRESSO input):
```
&SYSTEM
  ibrav = 0, nat = 3, ntyp = 2
/
ATOMIC_SPECIES
Os 190.23 Os.upf
N 14.01 N.upf
CELL_PARAMETERS angstrom
1.412 -2.446 0.000
1.412 2.446 0.000
0.000 0.000 4.964
ATOMIC_POSITIONS crystal
Os 0.000 0.000 0.000
N 0.000 0.000 0.384
N 0.000 0.000 0.616
```

Results
calculated density	10.568	g/cm³

=====

Energy ordering: ii at the bottom, the next structure 863 meV/atom above.